No. 1
This record from the Materials Project database describes a geometry-optimized Ba2Tl2Zn3Fe4O12 structure. The functional is PBE with a Hubbard U.

Geometry as POSCAR:
```
Ba2Tl2Zn3Fe4O12
1.0
-1.9545 1.9545 21.0073
1.9545 -1.9545 21.0073
1.9545 1.9545 -21.0073
Ba Tl Zn Fe O
2 2 3 4 12
direct
0.1578 0.1578 0.0000
0.8422 0.8422 0.0000
0.2771 0.2771 0.0000
0.7229 0.7229 0.0000
0.0000 0.0000 0.0000
0.0768 0.0768 0.0000
0.9232 0.9232 0.0000
0.3951 0.3951 0.0000
0.4650 0.4650 0.0000
0.5350 0.5350 0.0000
0.6049 0.6049 0.0000
0.0338 0.5338 0.5000
0.1035 0.6035 0.5000
0.2254 0.2254 0.0000
0.3285 0.3285 0.0000
0.3965 0.8965 0.5000
0.4662 0.9662 0.5000
0.5338 0.0338 0.5000
0.6035 0.1035 0.5000
0.6715 0.6715 0.0000
0.7746 0.7746 0.0000
0.8965 0.3965 0.5000
0.9662 0.4662 0.5000
```

Output
The value obtained for the total energy is -5.357 eV/atom. Its space group is I4/mmm. As for the crystal system: tetragonal. The calculation puts the energy with MP2020 corrections at -6.108 eV/atom. The calculation puts the volume at 13.96 Å³ per atom. The calculation puts the formation energy at -1.517 eV/atom.

***

No. 2
This record from the Materials Project database describes a geometry-optimized Mg6VZnO8 structure. The functional is PBE with a Hubbard U.

Geometry as POSCAR:
```
Mg6VZnO8
1.0
4.2973 0.0000 0.0000
0.0000 4.2973 0.0000
0.0000 0.0000 8.5628
Mg V Zn O
6 1 1 8
direct
0.0000 0.0000 0.0000
0.0000 0.5000 0.2492
0.0000 0.5000 0.7508
0.5000 0.0000 0.2492
0.5000 0.0000 0.7508
0.5000 0.5000 0.0000
0.0000 0.0000 0.5000
0.5000 0.5000 0.5000
0.0000 0.0000 0.2452
0.0000 0.0000 0.7548
0.0000 0.5000 0.0000
0.0000 0.5000 0.5000
0.5000 0.0000 0.0000
0.5000 0.0000 0.5000
0.5000 0.5000 0.2467
0.5000 0.5000 0.7533
```

Output
The value obtained for the total energy is -6.017 eV/atom. Its space group is P4/mmm. As for the crystal system: tetragonal. The calculation puts the energy with MP2020 corrections at -6.467 eV/atom. The calculation puts the volume at 9.88 Å³ per atom. The calculation puts the formation energy at -2.746 eV/atom.